Record 1
# meta-GGA r2SCAN Cs3YF6, relaxed
# Total energy = -14.95 eV per atom
# M_tot = 0.00 μB per formula unit
# SG = No. 225
data_Cs3YF6
_symmetry_space_group_name_H-M 'P 1'
_symmetry_Int_Tables_number 1
_symmetry_space_group_name_Hall 'P 1'
_cell_length_a 7.008
_cell_length_b 7.008
_cell_length_c 7.008
_cell_angle_alpha 60.00
_cell_angle_beta 60.00
_cell_angle_gamma 60.00
loop_
_atom_site_label
_atom_site_type_symbol
_atom_site_fract_x
_atom_site_fract_y
_atom_site_fract_z
_atom_site_occupancy
Cs1 Cs 0.750 0.750 0.750 1
Cs2 Cs 0.250 0.250 0.250 1
Cs3 Cs 0.500 0.500 0.500 1
Y1 Y 0.000 0.000 0.000 1
F1 F 0.782 0.218 0.218 1
F2 F 0.218 0.218 0.782 1
F3 F 0.218 0.782 0.782 1
F4 F 0.218 0.782 0.218 1
F5 F 0.782 0.218 0.782 1
F6 F 0.782 0.782 0.218 1

Record 2
# meta-GGA r2SCAN Cs4Zn3F10, relaxed
# Total energy = -12.11 eV per atom
# M_tot = 0.00 μB per formula unit
# SG = No. 64
data_Cs4Zn3F10
_symmetry_space_group_name_H-M 'P 1'
_symmetry_Int_Tables_number 1
_symmetry_space_group_name_Hall 'P 1'
_cell_length_a 7.884
_cell_length_b 7.884
_cell_length_c 13.803
_cell_angle_alpha 90.00
_cell_angle_beta 90.00
_cell_angle_gamma 133.75
loop_
_atom_site_label
_atom_site_type_symbol
_atom_site_fract_x
_atom_site_fract_y
_atom_site_fract_z
_atom_site_occupancy
Cs1 Cs 0.256 0.744 0.610 1
Cs2 Cs 0.744 0.256 0.390 1
Cs3 Cs 0.244 0.756 0.110 1
Cs4 Cs 0.756 0.244 0.890 1
Cs5 Cs 0.955 0.045 0.639 1
Cs6 Cs 0.045 0.955 0.361 1
Cs7 Cs 0.545 0.455 0.139 1
Cs8 Cs 0.455 0.545 0.861 1
Zn1 Zn 0.621 0.379 0.656 1
Zn2 Zn 0.379 0.621 0.344 1
Zn3 Zn 0.879 0.121 0.156 1
Zn4 Zn 0.121 0.879 0.844 1
Zn5 Zn 0.500 0.500 0.500 1
Zn6 Zn 0.000 0.000 0.000 1
F1 F 0.615 0.815 0.462 1
F2 F 0.815 0.615 0.538 1
F3 F 0.885 0.685 0.962 1
F4 F 0.685 0.885 0.038 1
F5 F 0.385 0.185 0.538 1
F6 F 0.185 0.385 0.462 1
F7 F 0.115 0.315 0.038 1
F8 F 0.315 0.115 0.962 1
F9 F 0.475 0.525 0.645 1
F10 F 0.525 0.475 0.355 1
F11 F 0.025 0.975 0.145 1
F12 F 0.975 0.025 0.855 1
F13 F 0.754 0.246 0.650 1
F14 F 0.246 0.754 0.350 1
F15 F 0.362 0.138 0.750 1
F16 F 0.138 0.362 0.250 1
F17 F 0.638 0.862 0.250 1
F18 F 0.862 0.638 0.750 1
F19 F 0.254 0.746 0.850 1
F20 F 0.746 0.254 0.150 1

Record 3
# meta-GGA r2SCAN Cs2ZrF6, relaxed
# Total energy = -13.86 eV per atom
# M_tot = 0.00 μB per formula unit
# SG = No. 164
data_Cs2ZrF6
_symmetry_space_group_name_H-M 'P 1'
_symmetry_Int_Tables_number 1
_symmetry_space_group_name_Hall 'P 1'
_cell_length_a 6.388
_cell_length_b 6.388
_cell_length_c 4.961
_cell_angle_alpha 90.00
_cell_angle_beta 90.00
_cell_angle_gamma 120.00
loop_
_atom_site_label
_atom_site_type_symbol
_atom_site_fract_x
_atom_site_fract_y
_atom_site_fract_z
_atom_site_occupancy
Cs1 Cs 0.667 0.333 0.303 1
Cs2 Cs 0.333 0.667 0.697 1
Zr1 Zr 0.000 0.000 0.000 1
F1 F 0.847 0.153 0.777 1
F2 F 0.847 0.694 0.777 1
F3 F 0.306 0.153 0.777 1
F4 F 0.153 0.847 0.223 1
F5 F 0.153 0.306 0.223 1
F6 F 0.694 0.847 0.223 1

Record 4
# meta-GGA r2SCAN Cs2K4Fe2O5, relaxed
# Total energy = -11.68 eV per atom
# M_tot = 8.00 μB per formula unit
# SG = No. 12
data_Cs2K4Fe2O5
_symmetry_space_group_name_H-M 'P 1'
_symmetry_Int_Tables_number 1
_symmetry_space_group_name_Hall 'P 1'
_cell_length_a 6.621
_cell_length_b 6.963
_cell_length_c 6.621
_cell_angle_alpha 90.57
_cell_angle_beta 115.55
_cell_angle_gamma 90.57
loop_
_atom_site_label
_atom_site_type_symbol
_atom_site_fract_x
_atom_site_fract_y
_atom_site_fract_z
_atom_site_occupancy
Cs1 Cs 0.672 0.801 0.672 1
Cs2 Cs 0.328 0.199 0.328 1
K1 K 0.240 0.500 0.760 1
K2 K 0.760 0.500 0.240 1
K3 K 0.781 0.000 0.219 1
K4 K 0.219 0.000 0.781 1
Fe1 Fe 0.198 0.693 0.198 1
Fe2 Fe 0.802 0.307 0.802 1
O1 O 0.000 0.500 0.000 1
O2 O 0.142 0.770 0.435 1
O3 O 0.565 0.230 0.858 1
O4 O 0.858 0.230 0.565 1
O5 O 0.435 0.770 0.142 1

Record 5
# meta-GGA r2SCAN Cs2FeO4, relaxed
# Total energy = -14.21 eV per atom
# M_tot = 2.00 μB per formula unit
# SG = No. 62
data_Cs2FeO4
_symmetry_space_group_name_H-M 'P 1'
_symmetry_Int_Tables_number 1
_symmetry_space_group_name_Hall 'P 1'
_cell_length_a 6.276
_cell_length_b 8.418
_cell_length_c 11.104
_cell_angle_alpha 90.00
_cell_angle_beta 90.00
_cell_angle_gamma 90.00
loop_
_atom_site_label
_atom_site_type_symbol
_atom_site_fract_x
_atom_site_fract_y
_atom_site_fract_z
_atom_site_occupancy
Cs1 Cs 0.250 0.666 0.409 1
Cs2 Cs 0.750 0.334 0.591 1
Cs3 Cs 0.250 0.166 0.091 1
Cs4 Cs 0.750 0.834 0.909 1
Cs5 Cs 0.750 0.514 0.194 1
Cs6 Cs 0.250 0.486 0.806 1
Cs7 Cs 0.750 0.014 0.306 1
Cs8 Cs 0.250 0.986 0.694 1
Fe1 Fe 0.750 0.263 0.919 1
Fe2 Fe 0.250 0.737 0.081 1
Fe3 Fe 0.750 0.763 0.581 1
Fe4 Fe 0.250 0.237 0.419 1
O1 O 0.250 0.042 0.412 1
O2 O 0.750 0.958 0.588 1
O3 O 0.250 0.542 0.088 1
O4 O 0.750 0.458 0.912 1
O5 O 0.250 0.797 0.940 1
O6 O 0.750 0.203 0.060 1
O7 O 0.250 0.297 0.560 1
O8 O 0.750 0.703 0.440 1
O9 O 0.536 0.193 0.852 1
O10 O 0.036 0.807 0.148 1
O11 O 0.964 0.693 0.648 1
O12 O 0.464 0.307 0.352 1
O13 O 0.536 0.693 0.648 1
O14 O 0.036 0.307 0.352 1
O15 O 0.964 0.193 0.852 1
O16 O 0.464 0.807 0.148 1

Record 6
# meta-GGA r2SCAN Cs3FeO3, relaxed
# Total energy = -16.92 eV per atom
# M_tot = 5.00 μB per formula unit
# SG = No. 14
data_Cs3FeO3
_symmetry_space_group_name_H-M 'P 1'
_symmetry_Int_Tables_number 1
_symmetry_space_group_name_Hall 'P 1'
_cell_length_a 7.302
_cell_length_b 7.755
_cell_length_c 12.126
_cell_angle_alpha 90.00
_cell_angle_beta 90.00
_cell_angle_gamma 104.74
loop_
_atom_site_label
_atom_site_type_symbol
_atom_site_fract_x
_atom_site_fract_y
_atom_site_fract_z
_atom_site_occupancy
Cs1 Cs 0.454 0.498 0.705 1
Cs2 Cs 0.546 0.002 0.205 1
Cs3 Cs 0.546 0.502 0.295 1
Cs4 Cs 0.454 0.998 0.795 1
Cs5 Cs 0.665 0.367 0.991 1
Cs6 Cs 0.335 0.133 0.491 1
Cs7 Cs 0.335 0.633 0.009 1
Cs8 Cs 0.665 0.867 0.509 1
Cs9 Cs 0.978 0.087 0.744 1
Cs10 Cs 0.022 0.413 0.244 1
Cs11 Cs 0.022 0.913 0.256 1
Cs12 Cs 0.978 0.587 0.756 1
Fe1 Fe 0.844 0.350 0.509 1
Fe2 Fe 0.156 0.150 0.009 1
Fe3 Fe 0.156 0.650 0.491 1
Fe4 Fe 0.844 0.850 0.991 1
O1 O 0.882 0.102 0.032 1
O2 O 0.118 0.398 0.532 1
O3 O 0.118 0.898 0.968 1
O4 O 0.882 0.602 0.468 1
O5 O 0.704 0.269 0.635 1
O6 O 0.296 0.231 0.135 1
O7 O 0.296 0.731 0.365 1
O8 O 0.704 0.769 0.865 1
O9 O 0.252 0.297 0.889 1
O10 O 0.748 0.203 0.389 1
O11 O 0.748 0.703 0.111 1
O12 O 0.252 0.797 0.611 1